This record from the Materials Project database describes a geometry-optimized Li6Mn3FeP6O24 structure. The functional is PBE with a Hubbard U.

Unit cell a=8.5659 b=8.6234 c=8.6450 alpha=61.79 beta=61.79 gamma=60.89
Atoms (fractional coordinates):
1 O 0.5261 0.3060 0.0981
2 O 0.2567 0.9083 0.0692
3 O 0.1183 0.5141 0.3136
4 O 0.2254 0.4430 0.5980
5 O 0.9919 0.6369 0.7963
6 O 0.3871 0.1819 0.9908
7 O 0.1970 0.9872 0.3881
8 O 0.9095 0.0781 0.2623
9 O 0.0830 0.9503 0.7322
10 O 0.3091 0.1135 0.5198
11 O 0.4346 0.5853 0.2283
12 O 0.9937 0.3865 0.1967
13 O 0.7731 0.5434 0.4285
14 O 0.7436 0.0787 0.9318
15 O 0.9324 0.7358 0.1032
16 O 0.8706 0.4796 0.7107
17 O 0.4830 0.7008 0.8757
18 O 0.6148 0.7987 0.0103
19 O 0.7157 0.8798 0.4970
20 O 0.5706 0.3896 0.7544
21 O 0.7981 0.0468 0.6087
22 O 0.0599 0.2770 0.9171
23 O 0.4163 0.7623 0.5652
24 O 0.5816 0.2423 0.4270
25 Mn 0.3577 0.3500 0.3512
26 Mn 0.6411 0.6458 0.6432
27 Mn 0.8491 0.8566 0.8639
28 P 0.9541 0.5479 0.2560
29 P 0.2520 0.9529 0.5509
30 P 0.5478 0.2438 0.9483
31 P 0.0335 0.4644 0.7548
32 P 0.4539 0.7484 0.0386
33 P 0.7526 0.0516 0.4552
34 Li 0.8433 0.2392 0.6455
35 Li 0.0019 0.9625 0.0054
36 Li 0.1550 0.7428 0.3427
37 Li 0.3346 0.1654 0.7517
38 Li 0.7438 0.3424 0.1446
39 Li 0.4920 0.5141 0.5229
40 Fe 0.1465 0.1462 0.1511

energy of formation from the pure elements = -2498.1 meV/atom



This record from the Materials Project database describes a geometry-optimized La3VH3O8 structure. The functional is PBE with a Hubbard U.

Unit cell a=5.7453 b=6.4091 c=10.7975 alpha=90.00 beta=90.00 gamma=104.42
Atoms (fractional coordinates):
1 La 0.3119 0.6971 0.4577
2 La 0.6881 0.3029 0.5424
3 La 0.3119 0.6971 0.0423
4 La 0.6881 0.3029 0.9576
5 La 0.7753 0.8014 0.7500
6 La 0.2248 0.1986 0.2500
7 O 0.5415 0.4585 0.1320
8 O 0.5467 0.0962 0.7500
9 O 0.0637 0.1929 0.7499
10 O 0.7337 0.9324 0.5227
11 O 0.5416 0.4585 0.3680
12 O 0.0088 0.5938 0.6276
13 O 0.7337 0.9325 0.9773
14 O 0.2663 0.0675 0.4774
15 O 0.9363 0.8071 0.2499
16 O 0.4533 0.9038 0.2500
17 O 0.2663 0.0676 0.0226
18 O 0.9912 0.4062 0.1276
19 O 0.4585 0.5414 0.6320
20 O 0.0089 0.5938 0.8724
21 O 0.4585 0.5415 0.8680
22 O 0.9912 0.4062 0.3724
23 H 0.6248 0.9061 0.2500
24 H 0.8437 0.9020 0.0396
25 H 0.8437 0.9020 0.4604
26 H 0.3752 0.0939 0.7500
27 H 0.1563 0.0980 0.5396
28 H 0.1562 0.0980 0.9604
29 V 0.8082 0.5301 0.2500
30 V 0.1917 0.4699 0.7500

energy of formation from the pure elements = -2900.8 meV/atom



This record from the Materials Project database describes a geometry-optimized Mn7FeCl3O10 structure. The functional is PBE with a Hubbard U.

Unit cell a=9.4389 b=9.4389 c=9.4389 alpha=60.00 beta=60.00 gamma=60.00
Atoms (fractional coordinates):
1 Mn 0.6486 0.0000 0.0000
2 Mn 0.0000 0.0000 0.0000
3 Mn 0.0000 0.0000 0.3514
4 Mn 0.0000 0.3514 0.6486
5 Mn 0.6486 0.3514 0.0000
6 Mn 0.3514 0.0000 0.0000
7 Mn 0.5000 0.5000 0.5000
8 Mn 0.6486 0.0000 0.3514
9 Mn 0.3514 0.0000 0.6486
10 Mn 0.0000 0.6486 0.3514
11 Mn 0.0000 0.6486 0.0000
12 Mn 0.3514 0.6486 0.0000
13 Mn 0.0000 0.0000 0.6486
14 Mn 0.0000 0.3514 0.0000
15 O 0.0963 0.4037 0.0963
16 O 0.9037 0.5963 0.9037
17 O 0.0963 0.0963 0.4037
18 O 0.9000 0.9000 0.9000
19 O 0.4037 0.0963 0.0963
20 O 0.4037 0.4037 0.0963
21 O 0.5963 0.9037 0.5963
22 O 0.9000 0.3000 0.9000
23 O 0.9037 0.5963 0.5963
24 O 0.5963 0.5963 0.9037
25 O 0.3000 0.9000 0.9000
26 O 0.0963 0.4037 0.4037
27 O 0.4037 0.0963 0.4037
28 O 0.1000 0.1000 0.7000
29 O 0.1000 0.1000 0.1000
30 O 0.5963 0.9037 0.9037
31 O 0.7000 0.1000 0.1000
32 O 0.1000 0.7000 0.1000
33 O 0.9000 0.9000 0.3000
34 O 0.9037 0.9037 0.5963
35 Cl 0.3035 0.3035 0.6965
36 Cl 0.6965 0.3035 0.3035
37 Cl 0.6965 0.6965 0.3035
38 Cl 0.6965 0.3035 0.6965
39 Cl 0.3035 0.6965 0.3035
40 Cl 0.3035 0.6965 0.6965
41 Fe 0.2500 0.2500 0.2500
42 Fe 0.7500 0.7500 0.7500

energy of formation from the pure elements = -1815.6 meV/atom



This record from the Materials Project database describes a geometry-optimized Ba2Pr2Co4O11 structure. The functional is PBE with a Hubbard U.

Unit cell a=8.6621 b=8.6621 c=8.6621 alpha=141.86 beta=141.86 gamma=55.04
Atoms (fractional coordinates):
1 O 0.6323 0.1579 0.0000
2 O 0.8421 0.3677 0.0000
3 O 0.2390 0.2390 0.0000
4 O 0.0000 0.0000 0.0000
5 O 0.3677 0.3677 0.5256
6 O 0.3677 0.8421 0.0000
7 O 0.7610 0.7610 0.0000
8 O 0.6323 0.6323 0.4744
9 O 0.8421 0.8421 0.4744
10 O 0.1579 0.1579 0.5256
11 O 0.1579 0.6323 0.0000
12 Ba 0.7500 0.2500 0.5000
13 Ba 0.2500 0.7500 0.5000
14 Co 0.1209 0.1209 0.0000
15 Co 0.3748 0.3748 0.0000
16 Co 0.6252 0.6252 0.0000
17 Co 0.8791 0.8791 0.0000
18 Pr 0.5000 0.0000 0.5000
19 Pr 0.0000 0.5000 0.5000

energy of formation from the pure elements = -2303.8 meV/atom